Entry 1:
Density functional theory data (GGA+U) for a relaxed structure of Cr2OF2.

Geometry as CIF:
```
data_Cr2OF2
_chemical_formula_sum 'Cr8 O4 F8'
_space_group_name_H-M_alt 'I 41/a m d'
_space_group_IT_number 141
_cell_length_a 6.056
_cell_length_b 6.056
_cell_length_c 10.833
_cell_angle_alpha 90.00
_cell_angle_beta 90.00
_cell_angle_gamma 90.00
loop_
_space_group_symop_operation_xyz
'x,y,z'
'-x,-y,-z'
'-y+1/4,x+3/4,z+1/4'
'y+1/4,-x+3/4,-z+1/4'
'-x+1/2,-y,z+1/2'
'x+1/2,y,-z+1/2'
'y+1/4,-x+1/4,z+3/4'
'-y+1/4,x+1/4,-z+3/4'
'x,-y,-z'
'-x,y,z'
'-y+1/4,-x+1/4,-z+3/4'
'y+1/4,x+1/4,z+3/4'
'-x+1/2,y,-z+1/2'
'x+1/2,-y,z+1/2'
'y+1/4,x+3/4,-z+1/4'
'-y+1/4,-x+3/4,z+1/4'
'x+1/2,y+1/2,z+1/2'
'-x+1/2,-y+1/2,-z+1/2'
'-y+3/4,x+1/4,z+3/4'
'y+3/4,-x+1/4,-z+3/4'
'-x,-y+1/2,z'
'x,y+1/2,-z'
'y+3/4,-x+3/4,z+1/4'
'-y+3/4,x+3/4,-z+1/4'
'x+1/2,-y+1/2,-z+1/2'
'-x+1/2,y+1/2,z+1/2'
'-y+3/4,-x+3/4,-z+1/4'
'y+3/4,x+3/4,z+1/4'
'-x,y+1/2,-z'
'x,-y+1/2,z'
'y+3/4,x+1/4,-z+3/4'
'-y+3/4,-x+1/4,z+3/4'
loop_
_atom_site_label
_atom_site_fract_x
_atom_site_fract_y
_atom_site_fract_z
Cr1 0.000 0.000 0.000
O1 0.000 0.250 0.875
F1 0.000 0.250 0.123
```

The value obtained for the energy above the most stable polymorph in this dataset is 0.01 eV/f.u. Its MP2020-corrected energy is -160.21 eV/cell. Its crystal system is tetragonal. As for the formation enthalpy at 0 K: -2.394 eV/atom. The spin magnetization comes out at 1.6000 μB/atom.

Entry 2:
Density functional theory data (GGA+U) for a relaxed structure of SrLaMn2O5.

Geometry as CIF:
```
data_SrLaMn2O5
_chemical_formula_sum 'Sr2 La2 Mn4 O10'
_space_group_name_H-M_alt 'P 1'
_space_group_IT_number 1
_cell_length_a 5.495
_cell_length_b 5.638
_cell_length_c 9.142
_cell_angle_alpha 107.84
_cell_angle_beta 107.42
_cell_angle_gamma 90.25
loop_
_space_group_symop_operation_xyz
'x,y,z'
loop_
_atom_site_label
_atom_site_fract_x
_atom_site_fract_y
_atom_site_fract_z
Sr1 0.000 0.000 0.000
Sr2 0.276 0.275 0.551
La1 0.508 0.467 0.999
La2 0.784 0.743 0.552
Mn1 0.164 0.680 0.275
Mn2 0.384 0.874 0.776
Mn3 0.679 0.075 0.276
Mn4 0.884 0.374 0.776
O1 0.052 0.021 0.275
O2 0.125 0.118 0.759
O3 0.150 0.632 0.800
O4 0.211 0.698 0.506
O5 0.508 0.081 0.045
O6 0.555 0.714 0.275
O7 0.625 0.106 0.751
O8 0.641 0.633 0.791
O9 0.738 0.311 0.505
O10 0.981 0.467 0.046
```

The value obtained for the energy above the most stable polymorph in this dataset is 0.08 eV/f.u. Its MP2020-corrected energy is -149.32 eV/cell. Its crystal system is triclinic. As for the formation enthalpy at 0 K: -2.774 eV/atom. The spin magnetization comes out at 0.0771 μB/atom.

Entry 3:
Density functional theory data (GGA+U) for a relaxed structure of Mg2Cr5P6O24.

Geometry as CIF:
```
data_Mg2Cr5P6O24
_chemical_formula_sum 'Mg2 Cr5 P6 O24'
_space_group_name_H-M_alt 'P -1'
_space_group_IT_number 2
_cell_length_a 6.375
_cell_length_b 8.001
_cell_length_c 9.418
_cell_angle_alpha 105.41
_cell_angle_beta 108.27
_cell_angle_gamma 101.12
loop_
_space_group_symop_operation_xyz
'x,y,z'
'-x,-y,-z'
loop_
_atom_site_label
_atom_site_fract_x
_atom_site_fract_y
_atom_site_fract_z
Mg1 0.215 0.190 0.209
Cr1 0.117 0.541 0.389
Cr2 0.449 0.282 0.976
Cr3 0.500 0.000 0.500
P1 0.107 0.766 0.132
P2 0.274 0.852 0.734
P3 0.407 0.406 0.667
O1 0.044 0.737 0.732
O2 0.051 0.631 0.212
O3 0.128 0.236 0.994
O4 0.186 0.458 0.582
O5 0.227 0.962 0.258
O6 0.252 0.714 0.035
O7 0.273 0.797 0.560
O8 0.292 0.052 0.795
O9 0.380 0.464 0.339
O10 0.382 0.212 0.582
O11 0.430 0.452 0.845
O12 0.488 0.812 0.842
```

Its MP2020-corrected energy is -302.00 eV/cell. Its crystal system is triclinic. As for the formation enthalpy at 0 K: -2.684 eV/atom. The spin magnetization comes out at 0.4324 μB/atom.